Record 1
Computed, not measured: Zr5SiSn3 after structural relaxation at the r2SCAN level of DFT. Values from VASP.

Quantum ESPRESSO input file:
```
&SYSTEM
  ibrav = 0, nat = 18, ntyp = 3
/
ATOMIC_SPECIES
Zr 91.22 Zr.upf
Si 28.09 Si.upf
Sn 118.71 Sn.upf
ATOMIC_POSITIONS angstrom
Zr -4.899 1.036 -0.218
Zr -2.971 -2.580 -3.103
Zr -3.481 -4.546 -0.981
Zr -5.409 -0.929 1.904
Zr -6.608 -4.095 0.718
Zr -2.523 -1.750 3.871
Zr -1.034 -4.544 1.642
Zr -2.282 -1.380 0.206
Zr -5.323 2.471 3.041
Zr -1.030 -5.584 -3.385
Si 0.000 0.000 0.000
Si -0.510 -1.965 2.123
Sn -3.873 -3.558 1.872
Sn -4.896 -0.133 4.798
Sn -1.397 -6.698 -0.440
Sn -5.017 -1.917 -0.949
Sn -2.951 0.855 2.114
Sn -0.667 -3.430 -1.304
CELL_PARAMETERS angstrom
-6.826 4.652 2.667
-1.043 -6.197 -5.989
-1.020 -3.931 4.245
```

formation energy	-0.779	eV per atom
total magnetization	0.00	μB per atom

Record 2
Computed, not measured: Sr2Si after structural relaxation at the r2SCAN level of DFT. Values from VASP.

Quantum ESPRESSO input file:
```
&SYSTEM
  ibrav = 0, nat = 12, ntyp = 2
/
ATOMIC_SPECIES
Sr 87.62 Sr.upf
Si 28.09 Si.upf
ATOMIC_POSITIONS angstrom
Sr -1.499 -8.090 -3.663
Sr -7.979 -0.853 -0.149
Sr -3.285 -4.180 -3.418
Sr -6.192 -4.762 -0.394
Sr -0.458 -5.331 -1.219
Sr -9.019 -3.611 -2.594
Sr -4.064 -1.586 -0.711
Sr -5.414 -7.357 -3.101
Si -0.964 -2.132 -1.156
Si -8.513 -6.811 -2.657
Si -3.413 -6.422 -0.790
Si -6.064 -2.521 -3.023
CELL_PARAMETERS angstrom
-0.735 -0.016 -5.100
0.716 -8.075 -0.078
-9.458 -0.851 1.365
```

formation energy	-0.433	eV per atom
total magnetization	0.00	μB per atom

Record 3
Computed, not measured: Sr5Si3 after structural relaxation at the r2SCAN level of DFT. Values from VASP.

Quantum ESPRESSO input file:
```
&SYSTEM
  ibrav = 0, nat = 16, ntyp = 2
/
ATOMIC_SPECIES
Sr 87.62 Sr.upf
Si 28.09 Si.upf
ATOMIC_POSITIONS angstrom
Sr 5.390 -2.625 2.286
Sr 5.809 -2.010 -1.840
Sr 2.593 -5.661 1.550
Sr -2.999 -6.519 -1.999
Sr 3.012 -5.046 -2.576
Sr -2.580 -5.904 -6.125
Sr -0.202 -3.483 -1.262
Sr 0.217 -2.868 -5.389
Sr -3.038 -3.190 -3.637
Sr 0.000 0.000 0.000
Si -3.354 -3.659 -0.395
Si -5.235 -5.575 -4.196
Si -0.841 -0.805 -3.078
Si -2.722 -2.721 -6.879
Si -0.114 -5.859 -3.738
Si 2.924 -2.670 -0.101
CELL_PARAMETERS angstrom
-5.408 -5.952 0.766
-0.668 -0.427 -8.039
8.886 -2.149 3.435
```

formation energy	-0.456	eV per atom
total magnetization	0.03	μB per atom

Record 4
Computed, not measured: Sr2Zn5Si3 after structural relaxation at the r2SCAN level of DFT. Values from VASP.

Quantum ESPRESSO input file:
```
&SYSTEM
  ibrav = 0, nat = 10, ntyp = 3
/
ATOMIC_SPECIES
Sr 87.62 Sr.upf
Zn 65.41 Zn.upf
Si 28.09 Si.upf
ATOMIC_POSITIONS angstrom
Sr 0.000 0.000 10.575
Sr 2.121 2.121 5.347
Zn 0.000 2.121 2.694
Zn 2.121 0.000 7.940
Zn 2.121 0.000 2.694
Zn 0.000 2.121 7.940
Zn 2.121 2.121 1.225
Si 0.000 0.000 6.529
Si 0.000 0.000 4.118
Si 2.121 2.121 9.351
CELL_PARAMETERS angstrom
4.243 0.000 0.000
0.000 4.243 0.000
0.000 0.000 10.621
```

formation energy	-0.350	eV per atom
total magnetization	0.00	μB per atom

Record 5
Computed, not measured: Ta2Si after structural relaxation at the r2SCAN level of DFT. Values from VASP.

Quantum ESPRESSO input file:
```
&SYSTEM
  ibrav = 0, nat = 6, ntyp = 2
/
ATOMIC_SPECIES
Ta 180.95 Ta.upf
Si 28.09 Si.upf
ATOMIC_POSITIONS angstrom
Ta 1.076 -0.324 3.232
Ta 3.201 0.710 0.976
Ta 0.195 1.815 1.416
Ta -1.930 0.781 3.671
Si 2.807 -1.743 1.847
Si 0.936 -0.581 0.616
CELL_PARAMETERS angstrom
-0.996 -3.988 2.922
4.739 1.665 -0.459
-2.472 3.815 2.185
```

formation energy	-0.594	eV per atom
total magnetization	0.00	μB per atom

Record 6
Computed, not measured: Tb4Si7 after structural relaxation at the r2SCAN level of DFT. Values from VASP.

Quantum ESPRESSO input file:
```
&SYSTEM
  ibrav = 0, nat = 22, ntyp = 2
/
ATOMIC_SPECIES
Tb 158.93 Tb.upf
Si 28.09 Si.upf
ATOMIC_POSITIONS angstrom
Tb -3.376 -4.235 -2.242
Tb -10.924 -3.597 4.692
Tb -7.721 -7.718 2.568
Tb -4.114 -1.640 2.705
Tb -0.912 -5.761 0.581
Tb -8.459 -5.123 7.515
Tb -7.110 -3.960 4.066
Tb -4.725 -5.398 1.207
Si -9.483 -5.270 2.697
Si -4.675 -2.650 -0.084
Si -3.296 -7.013 -0.914
Si -8.540 -2.345 6.187
Si -7.160 -6.708 5.357
Si -2.353 -4.088 2.577
Si -2.403 -3.219 0.358
Si -9.432 -6.139 4.915
Si -7.733 -4.928 1.208
Si -6.549 -2.915 1.262
Si -1.442 -6.542 -2.278
Si -10.394 -2.816 7.551
Si -5.286 -6.443 4.011
Si -4.102 -4.430 4.066
CELL_PARAMETERS angstrom
-3.052 -2.251 -4.277
1.814 -5.264 1.296
-10.597 -1.844 8.254
```

formation energy	-0.656	eV per atom
total magnetization	0.00	μB per atom